1.
DFT (PBE) results for crystalline LaUN2 at its relaxed geometry.

Output
MP2020-corrected energy in eV for the cell shown: -39.1
ΔE_f in kJ/mol of atoms: -150
Calculated density in g cm⁻³: 10.45
Uncorrected energy in eV per atom: -9.596

abc: 6.241 6.241 6.241
angles: 33.06 33.06 33.06
Element x y z (fractional)
La  0.000  0.000  0.000
U  0.500  0.500  0.500
N  0.232  0.232  0.232
N  0.768  0.768  0.768

---

2.
DFT (PBE) results for crystalline La3V2N6 at its relaxed geometry.

Output
MP2020-corrected energy in eV for the cell shown: -99.6
ΔE_f in kJ/mol of atoms: -146
Calculated density in g cm⁻³: 6.53
Uncorrected energy in eV per atom: -8.861

abc: 10.393 10.393 10.393
angles: 158.31 158.31 30.86
Element x y z (fractional)
La  0.000  0.000  0.000
La  0.822  0.822  0.000
La  0.178  0.178  0.000
V  0.397  0.397  0.000
V  0.603  0.603  0.000
N  0.087  0.587  0.500
N  0.587  0.087  0.500
N  0.913  0.413  0.500
N  0.413  0.913  0.500
N  0.694  0.694  0.000
N  0.306  0.306  0.000

---

3.
DFT (PBE) results for crystalline NaLa3 at its relaxed geometry.

Output
ΔE_f in kJ/mol of atoms: 23
Calculated density in g cm⁻³: 5.03
Uncorrected energy in eV per atom: -3.797

abc: 5.256 5.256 5.256
angles: 90.00 90.00 90.00
Element x y z (fractional)
Na  0.000  0.000  0.000
La  0.500  0.000  0.500
La  0.000  0.500  0.500
La  0.500  0.500  0.000

---

4.
DFT (PBE) results for crystalline NaLaNb2O7 at its relaxed geometry.

Output
MP2020-corrected energy in eV for the cell shown: -96.0
ΔE_f in kJ/mol of atoms: -306
Calculated density in g cm⁻³: 4.56
Uncorrected energy in eV per atom: -8.293

abc: 3.931 3.931 11.184
angles: 79.88 79.88 90.00
Element x y z (fractional)
Na  0.750  0.250  0.500
La  0.000  0.000  0.000
Nb  0.393  0.393  0.213
Nb  0.607  0.607  0.787
O  0.586  0.086  0.827
O  0.086  0.586  0.829
O  0.414  0.914  0.171
O  0.914  0.414  0.173
O  0.310  0.310  0.380
O  0.690  0.690  0.620
O  0.500  0.500  0.000

---

5.
DFT (PBE) results for crystalline NaLaNb4O12 at its relaxed geometry.

Output
MP2020-corrected energy in eV for the cell shown: -162.2
ΔE_f in kJ/mol of atoms: -301
Calculated density in g cm⁻³: 4.73
Uncorrected energy in eV per atom: -8.556

abc: 8.968 8.968 8.968
angles: 143.39 143.39 52.74
Element x y z (fractional)
Na  0.500  0.500  0.000
La  0.000  0.000  0.000
Nb  0.629  0.129  0.500
Nb  0.129  0.629  0.500
Nb  0.871  0.371  0.500
Nb  0.371  0.871  0.500
O  0.357  0.871  0.000
O  0.871  0.357  0.000
O  0.643  0.129  0.000
O  0.129  0.643  0.000
O  0.871  0.871  0.513
O  0.357  0.357  0.487
O  0.129  0.129  0.487
O  0.643  0.643  0.513
O  0.750  0.250  0.500
O  0.250  0.750  0.500
O  0.500  0.000  0.500
O  0.000  0.500  0.500

---

6.
DFT (PBE) results for crystalline NaLaNb2O6 at its relaxed geometry.

Output
MP2020-corrected energy in eV for the cell shown: -86.4
ΔE_f in kJ/mol of atoms: -292
Calculated density in g cm⁻³: 5.52
Uncorrected energy in eV per atom: -8.231

abc: 5.735 5.735 5.735
angles: 60.00 60.00 60.00
Element x y z (fractional)
Na  0.000  0.000  0.000
La  0.500  0.500  0.500
Nb  0.250  0.250  0.250
Nb  0.750  0.750  0.750
O  0.000  0.000  0.500
O  0.500  0.500  0.000
O  0.000  0.500  0.500
O  0.500  0.000  0.000
O  0.000  0.500  0.000
O  0.500  0.000  0.500